Entry from the Materials Project: Sr2CaTi3O9 after structural relaxation (PBE).

## Properties
Total energy   -0.591 Ry/atom
Relative energy among the computed polymorphs   0 meV per atom

a b c (Å): 5.5406 23.5359 5.5459
angles (deg): 90.00 90.07 90.00
Fractional coordinates of all 60 atoms:
Sr: 0.0000 0.0000 0.0000
Sr: 0.0006 0.3342 0.9996
Sr: 0.0006 0.6658 0.9996
Sr: 0.4974 0.0000 0.4961
Sr: 0.4993 0.3332 0.4948
Sr: 0.4993 0.6668 0.4948
Sr: 0.9827 0.1669 0.9951
Sr: 0.9827 0.8331 0.9951
Ca: 0.4753 0.5000 0.4951
Ca: 0.4780 0.1667 0.4949
Ca: 0.4780 0.8333 0.4949
Ca: 0.9753 0.5000 0.9977
Ti: 0.4894 0.4183 0.9981
Ti: 0.4894 0.5817 0.9981
Ti: 0.4904 0.2497 0.9976
Ti: 0.4904 0.7503 0.9976
Ti: 0.4905 0.0840 0.9981
Ti: 0.4905 0.9160 0.9981
Ti: 0.9894 0.0841 0.4968
Ti: 0.9889 0.4184 0.4949
Ti: 0.9889 0.5816 0.4949
Ti: 0.9894 0.9159 0.4968
Ti: 0.9900 0.2497 0.4970
Ti: 0.9900 0.7503 0.4970
O: 0.9999 0.5000 0.4399
O: 0.0017 0.1669 0.4617
O: 0.0017 0.8331 0.4617
O: 0.2155 0.4271 0.7724
O: 0.2155 0.5729 0.7724
O: 0.2249 0.0894 0.7621
O: 0.2251 0.2440 0.7617
O: 0.2251 0.7560 0.7617
O: 0.2249 0.9106 0.7621
O: 0.2591 0.0778 0.2634
O: 0.2593 0.2557 0.2631
O: 0.2593 0.7443 0.2631
O: 0.2591 0.9222 0.2634
O: 0.2659 0.4110 0.2711
O: 0.2659 0.5890 0.2711
O: 0.4908 0.1669 0.0460
O: 0.4908 0.8331 0.0460
O: 0.4916 0.3341 0.9609
O: 0.4916 0.6659 0.9609
O: 0.4941 0.0000 0.9643
O: 0.4992 0.5000 0.0537
O: 0.7155 0.4272 0.7210
O: 0.7155 0.5728 0.7210
O: 0.7175 0.0923 0.7224
O: 0.7175 0.9077 0.7224
O: 0.7176 0.2412 0.7221
O: 0.7176 0.7588 0.7221
O: 0.7612 0.0782 0.2260
O: 0.7611 0.2559 0.2258
O: 0.7611 0.7441 0.2258
O: 0.7612 0.9218 0.2260
O: 0.7664 0.4114 0.2221
O: 0.7664 0.5886 0.2221
O: 0.9854 0.0000 0.5312
O: 0.9875 0.3340 0.5333
O: 0.9875 0.6660 0.5333

Entry from the Materials Project: Mg6CoSb after structural relaxation (PBE).

## Properties
Total energy   -0.188 Ry/atom
Relative energy among the computed polymorphs   0 meV per atom

a b c (Å): 4.8812 6.2272 10.6545
angles (deg): 90.00 90.00 90.00
Fractional coordinates of all 16 atoms:
Mg: 0.0000 0.2417 0.0796
Mg: 0.0000 0.7583 0.0796
Mg: 0.0000 0.5000 0.8340
Mg: 0.5000 0.2362 0.9112
Mg: 0.5000 0.7638 0.9112
Mg: 0.5000 0.5000 0.6693
Mg: 0.0000 0.7417 0.5796
Mg: 0.0000 0.2583 0.5796
Mg: 0.0000 0.0000 0.3340
Mg: 0.5000 0.7362 0.4112
Mg: 0.5000 0.2638 0.4112
Mg: 0.5000 0.0000 0.1693
Co: 0.0000 0.5000 0.3422
Co: 0.0000 0.0000 0.8422
Sb: 0.5000 0.5000 0.1728
Sb: 0.5000 0.0000 0.6728

Entry from the Materials Project: ZrCo4N4 after structural relaxation (PBE).

## Properties
Total energy   -0.583 Ry/atom

a b c (Å): 4.8459 5.1855 8.1602
angles (deg): 74.62 73.26 71.30
Fractional coordinates of all 18 atoms:
Zr: 0.1152 0.3452 0.2025
Zr: 0.8848 0.6548 0.7975
Co: 0.0381 0.7636 0.4036
Co: 0.2112 0.8712 0.0642
Co: 0.3955 0.1771 0.7618
Co: 0.4644 0.7364 0.5893
Co: 0.5356 0.2636 0.4108
Co: 0.6045 0.8229 0.2382
Co: 0.7888 0.1288 0.9358
Co: 0.9619 0.2364 0.5964
N: 0.1044 0.2382 0.9617
N: 0.2216 0.4600 0.5840
N: 0.2861 0.0261 0.4183
N: 0.3700 0.5983 0.2321
N: 0.6300 0.4017 0.7679
N: 0.7139 0.9739 0.5817
N: 0.7784 0.5400 0.4160
N: 0.8956 0.7618 0.0383

Entry from the Materials Project: Na4Ca3TiP2S4O24 after structural relaxation (PBE).

## Properties
Total energy   -0.479 Ry/atom

a b c (Å): 9.1283 9.1651 23.3556
angles (deg): 89.69 89.96 60.22
Fractional coordinates of all 114 atoms:
Na: 0.0000 0.0000 0.0000
Na: 0.0022 0.6807 0.5674
Na: 0.3263 0.0160 0.2449
Na: 0.3290 0.3375 0.1625
Na: 0.3345 0.3108 0.6633
Na: 0.6334 0.6729 0.8183
Na: 0.6505 0.2858 0.5804
Na: 0.6572 0.6538 0.3357
Na: 0.6762 0.3354 0.9034
Na: 0.9539 0.6957 0.9093
Na: 0.9880 0.9984 0.4821
Na: 0.9958 0.6330 0.2489
Ca: 0.3127 0.3263 0.5028
Ca: 0.3146 0.3294 0.0177
Ca: 0.3197 0.3316 0.8046
Ca: 0.3204 0.3361 0.3121
Ca: 0.6380 0.6775 0.9787
Ca: 0.6464 0.6789 0.4708
Ca: 0.9751 0.0056 0.1424
Ca: 0.9796 0.0158 0.8308
Ca: 0.9811 0.0046 0.6474
Ti: 0.6453 0.6740 0.6765
Ti: 0.6492 0.6602 0.1845
Ti: 0.9790 0.9918 0.3370
P: 0.0073 0.6552 0.4040
P: 0.2783 0.7137 0.2409
P: 0.6467 0.9585 0.5802
P: 0.6687 0.3281 0.7375
P: 0.6894 0.9878 0.2404
P: 0.9705 0.2978 0.2419
S: 0.0123 0.3356 0.9100
S: 0.2951 0.0290 0.4025
S: 0.3022 0.9881 0.7386
S: 0.3102 0.6340 0.9093
S: 0.3601 0.6653 0.5791
S: 0.3597 0.9578 0.0829
S: 0.6204 0.0341 0.9090
S: 0.6388 0.3170 0.4081
S: 0.6448 0.3840 0.0796
S: 0.9322 0.3863 0.5791
S: 0.9374 0.6664 0.0798
S: 0.9676 0.6939 0.7401
O: 0.0097 0.1939 0.1885
O: 0.0958 0.3512 0.8586
O: 0.0974 0.3833 0.5784
O: 0.0992 0.5452 0.3529
O: 0.1041 0.5100 0.0840
O: 0.1041 0.5905 0.4621
O: 0.1078 0.3234 0.9623
O: 0.1102 0.5212 0.7442
O: 0.1142 0.3394 0.2516
O: 0.1352 0.0191 0.3968
O: 0.1550 0.8034 0.9047
O: 0.1744 0.7891 0.1879
O: 0.1852 0.8075 0.5844
O: 0.1846 0.8390 0.2930
O: 0.1897 0.9778 0.0831
O: 0.1988 0.0069 0.6888
O: 0.2325 0.9593 0.7918
O: 0.2741 0.1299 0.4544
O: 0.2923 0.5512 0.9615
O: 0.3050 0.5372 0.2508
O: 0.3180 0.1071 0.3507
O: 0.3276 0.1344 0.7428
O: 0.3279 0.5323 0.8583
O: 0.3521 0.1237 0.0862
O: 0.3547 0.5039 0.5804
O: 0.4368 0.6794 0.5263
O: 0.4394 0.8564 0.4080
O: 0.4408 0.8724 0.0296
O: 0.4579 0.7055 0.2350
O: 0.4623 0.8560 0.1345
O: 0.4655 0.6598 0.6301
O: 0.4665 0.6478 0.9121
O: 0.4745 0.8319 0.7319
O: 0.4870 0.3756 0.0847
O: 0.4883 0.3565 0.7408
O: 0.4895 0.1367 0.5824
O: 0.5072 0.1227 0.2516
O: 0.5239 0.1154 0.8571
O: 0.5275 0.3379 0.3603
O: 0.5369 0.1325 0.9606
O: 0.5703 0.2931 0.4635
O: 0.6422 0.8478 0.6329
O: 0.6432 0.4952 0.1283
O: 0.6495 0.4581 0.0239
O: 0.6505 0.8585 0.9119
O: 0.6539 0.5075 0.7261
O: 0.6641 0.4644 0.4110
O: 0.6651 0.8582 0.5268
O: 0.6896 0.8112 0.2351
O: 0.7599 0.0170 0.1868
O: 0.7611 0.2171 0.6864
O: 0.7676 0.2641 0.7951
O: 0.7933 0.0203 0.9058
O: 0.7946 0.2171 0.0825
O: 0.8026 0.4803 0.2319
O: 0.8076 0.1598 0.3992
O: 0.8076 0.6823 0.7337
O: 0.8098 0.9735 0.5853
O: 0.8147 0.9608 0.2926
O: 0.8252 0.6879 0.4066
O: 0.8320 0.6648 0.1300
O: 0.8361 0.4607 0.5266
O: 0.8357 0.4922 0.6299
O: 0.8390 0.4930 0.9120
O: 0.8550 0.6707 0.0248
O: 0.9430 0.2074 0.2941
O: 0.9449 0.7909 0.7935
O: 0.9551 0.2152 0.5849
O: 0.9563 0.8168 0.0811
O: 0.9832 0.1889 0.9074
O: 0.9887 0.7777 0.6899
O: 0.9958 0.8343 0.3907

Entry from the Materials Project: MgZnAu2 after structural relaxation (PBE).

## Properties
Total energy   -0.204 Ry/atom

a b c (Å): 6.4918 6.4918 6.4918
angles (deg): 90.00 90.00 90.00
Fractional coordinates of all 16 atoms:
Mg: 0.0000 0.0000 0.0000
Mg: 0.0000 0.5000 0.5000
Mg: 0.5000 0.0000 0.5000
Mg: 0.5000 0.5000 0.0000
Zn: 0.0000 0.0000 0.5000
Zn: 0.0000 0.5000 0.0000
Zn: 0.5000 0.0000 0.0000
Zn: 0.5000 0.5000 0.5000
Au: 0.2500 0.2500 0.2500
Au: 0.2500 0.2500 0.7500
Au: 0.2500 0.7500 0.2500
Au: 0.2500 0.7500 0.7500
Au: 0.7500 0.2500 0.2500
Au: 0.7500 0.2500 0.7500
Au: 0.7500 0.7500 0.2500
Au: 0.7500 0.7500 0.7500

Entry from the Materials Project: CeSbAu after structural relaxation (PBE).

## Properties
Total energy   -0.381 Ry/atom

a b c (Å): 4.7179 4.7179 7.9803
angles (deg): 90.00 90.00 120.00
Fractional coordinates of all 6 atoms:
Ce: 0.0000 0.0000 0.0000
Ce: 0.0000 0.0000 0.5000
Sb: 0.3333 0.6667 0.2500
Sb: 0.6667 0.3333 0.7500
Au: 0.3333 0.6667 0.7500
Au: 0.6667 0.3333 0.2500